Entry a
Material: MgCrSi2O6
Method: DFT, GGA+U
State: optimized geometry

Computed properties:
Density, g cm⁻³: 3.2
Total magnetic moment, μB/f.u.: 0.00

The structure in POSCAR format:
```
MgCrSi2O6
1.0
-3.650 1.936 3.343
-6.029 -1.596 -2.948
-1.171 -5.163 4.424
O Si Cr Mg
12 4 2 2
Direct
0.507 0.686 0.627
0.375 0.389 0.851
0.875 0.851 0.389
0.007 0.627 0.686
0.350 0.023 0.219
0.850 0.219 0.023
0.625 0.611 0.149
0.150 0.781 0.977
0.993 0.373 0.314
0.493 0.314 0.373
0.650 0.977 0.781
0.125 0.149 0.611
0.259 0.616 0.790
0.741 0.384 0.210
0.241 0.210 0.384
0.759 0.790 0.616
0.750 0.898 0.102
0.250 0.102 0.898
0.750 0.244 0.756
0.250 0.756 0.244
```

---

Entry b
Material: MgCrSi2O6
Method: DFT, GGA+U
State: optimized geometry

Computed properties:
Density, g cm⁻³: 3.4
Total magnetic moment, μB/f.u.: 4.00

The structure in POSCAR format:
```
MgCrSi2O6
1.0
-4.792 0.345 -2.282
-3.902 -2.584 7.802
-1.234 17.799 5.278
Si O Mg Cr
16 48 8 8
Direct
0.214 0.163 0.024
0.564 0.162 0.728
0.936 0.162 0.228
0.714 0.337 0.024
0.786 0.337 0.524
0.714 0.837 0.476
0.064 0.838 0.772
0.286 0.663 0.976
0.064 0.338 0.728
0.436 0.338 0.228
0.564 0.662 0.772
0.286 0.163 0.524
0.436 0.838 0.272
0.936 0.662 0.272
0.786 0.837 0.976
0.214 0.663 0.476
0.937 0.503 0.312
0.665 0.731 0.303
0.706 0.486 0.566
0.789 0.338 0.436
0.437 0.497 0.188
0.206 0.514 0.934
0.211 0.162 0.936
0.063 0.997 0.812
0.706 0.986 0.934
0.563 0.503 0.812
0.835 0.731 0.803
0.441 0.833 0.185
0.941 0.167 0.315
0.424 0.290 0.051
0.289 0.162 0.436
0.924 0.210 0.051
0.937 0.003 0.188
0.211 0.662 0.564
0.835 0.231 0.697
0.206 0.014 0.566
0.059 0.833 0.685
0.559 0.667 0.685
0.441 0.333 0.315
0.165 0.769 0.303
0.794 0.486 0.066
0.789 0.838 0.064
0.076 0.290 0.551
0.711 0.838 0.564
0.711 0.338 0.936
0.941 0.667 0.185
0.335 0.269 0.697
0.063 0.497 0.688
0.289 0.662 0.064
0.294 0.514 0.434
0.059 0.333 0.815
0.563 0.003 0.688
0.559 0.167 0.815
0.076 0.790 0.949
0.294 0.014 0.066
0.424 0.790 0.449
0.924 0.710 0.449
0.165 0.269 0.197
0.335 0.769 0.803
0.665 0.231 0.197
0.794 0.986 0.434
0.576 0.710 0.949
0.576 0.210 0.551
0.437 0.997 0.312
0.117 0.848 0.125
0.883 0.152 0.875
0.617 0.652 0.125
0.383 0.348 0.875
0.117 0.348 0.375
0.383 0.848 0.625
0.617 0.152 0.375
0.883 0.652 0.625
0.124 0.981 0.376
0.876 0.019 0.624
0.376 0.481 0.624
0.376 0.981 0.876
0.624 0.519 0.376
0.124 0.481 0.124
0.876 0.519 0.876
0.624 0.019 0.124
```

---

The structure with the greatest stability is entry b.

---

Entry a
Material: Mg6CrSnO8
Method: DFT, GGA+U
State: optimized geometry

Computed properties:
Density, g cm⁻³: 4.2
Total magnetic moment, μB/f.u.: 4.15

The structure in POSCAR format:
```
Mg6CrSnO8
1.0
-2.606 -8.370 -0.051
3.735 -1.176 2.210
-2.117 0.635 3.915
Sn O Mg Cr
1 8 6 1
Direct
0.000 0.000 0.000
0.750 0.500 0.500
0.268 0.000 0.000
0.732 0.000 0.000
0.000 0.000 0.500
0.500 0.500 0.000
0.500 0.000 0.500
0.000 0.500 0.000
0.250 0.500 0.500
0.262 0.000 0.500
0.500 0.500 0.500
0.738 0.500 0.000
0.000 0.500 0.500
0.262 0.500 0.000
0.738 0.000 0.500
0.500 0.000 0.000
```

---

Entry b
Material: Mg6CrSnO8
Method: DFT, GGA+U
State: optimized geometry

Computed properties:
Density, g cm⁻³: 4.2
Total magnetic moment, μB/f.u.: 4.22

The structure in POSCAR format:
```
Mg6CrSnO8
1.0
-2.729 2.837 -8.245
3.278 -2.280 -1.870
-2.638 -3.517 -0.337
O Mg Sn Cr
8 6 1 1
Direct
0.727 0.000 0.000
0.000 0.000 0.500
0.000 0.500 0.000
0.730 0.500 0.500
0.500 0.500 0.000
0.500 0.000 0.500
0.270 0.500 0.500
0.273 0.000 0.000
0.731 0.500 0.000
0.269 0.000 0.500
0.500 0.000 0.000
0.731 0.000 0.500
0.500 0.500 0.500
0.269 0.500 0.000
0.000 0.000 0.000
0.000 0.500 0.500
```

---

The structure with the greatest stability is entry b.